[1]
A plane-wave DFT calculation with PBE was carried out for a relaxed structure of SrLiO3.

Space group: No. 221
Crystal system: cubic
DFT total energy: -24.86 eV for the cell shown

a b c (Å): 3.909 3.909 3.909
angles (deg): 90.00 90.00 90.00
Fractional coordinates of all 5 atoms:
O: 0.500 0.500 0.000
O: 0.500 0.000 0.500
O: 0.000 0.500 0.500
Sr: 0.000 0.000 0.000
Li: 0.500 0.500 0.500

[2]
A plane-wave DFT calculation with PBE was carried out for a relaxed structure of Ca3LaSi8.

Space group: No. 115
Crystal system: tetragonal
DFT total energy: -59.76 eV for the cell shown

a b c (Å): 4.314 4.314 13.506
angles (deg): 90.00 90.00 90.00
Fractional coordinates of all 12 atoms:
Ca: 0.000 0.500 0.251
Ca: 0.000 0.000 0.500
Ca: 0.500 0.000 0.749
Si: 0.000 0.000 0.085
Si: 0.000 0.500 0.665
Si: 0.000 0.500 0.835
Si: 0.500 0.500 0.415
Si: 0.500 0.500 0.585
Si: 0.500 0.000 0.165
Si: 0.500 0.000 0.335
Si: 0.000 0.000 0.915
La: 0.500 0.500 0.000

[3]
A plane-wave DFT calculation with PBE was carried out for a relaxed structure of Hf5Si4.

Space group: No. 92
Crystal system: tetragonal
DFT total energy: -314.88 eV for the cell shown

a b c (Å): 7.070 7.070 12.877
angles (deg): 90.00 90.00 90.00
Fractional coordinates of all 36 atoms:
Hf: 0.825 0.825 0.500
Hf: 0.650 0.004 0.285
Hf: 0.000 0.146 0.624
Hf: 0.350 0.996 0.785
Hf: 0.996 0.350 0.215
Hf: 0.175 0.175 0.000
Hf: 0.675 0.325 0.750
Hf: 0.325 0.675 0.250
Hf: 0.850 0.504 0.965
Hf: 0.496 0.150 0.535
Hf: 0.500 0.646 0.626
Hf: 0.150 0.496 0.465
Hf: 0.354 0.500 0.874
Hf: 0.500 0.354 0.126
Hf: 0.646 0.500 0.374
Hf: 0.146 0.000 0.376
Hf: 0.000 0.854 0.124
Hf: 0.854 0.000 0.876
Hf: 0.004 0.650 0.715
Hf: 0.504 0.850 0.035
Si: 0.549 0.198 0.936
Si: 0.796 0.147 0.072
Si: 0.049 0.302 0.814
Si: 0.698 0.951 0.686
Si: 0.147 0.796 0.928
Si: 0.451 0.802 0.436
Si: 0.647 0.704 0.822
Si: 0.951 0.698 0.314
Si: 0.802 0.451 0.564
Si: 0.198 0.549 0.064
Si: 0.204 0.853 0.572
Si: 0.296 0.353 0.678
Si: 0.853 0.204 0.428
Si: 0.704 0.647 0.178
Si: 0.353 0.296 0.322
Si: 0.302 0.049 0.186